Below is a relaxed Na2Ge2O5 crystal, with properties calculated at the r2SCAN level.

## Properties
total magnetic moment	0.0	μB per cell
energy above the lowest structure with this stoichiometry	0.0036	eV/atom
ΔE_f	-1.912	eV per atom

Cell: 8.438 12.104 4.883 Å, 90.00 90.00 90.00°
Space group Pna2_1 (No. 33)
One atom of each set of equivalent atoms:
Na 0.073 0.233 0.000
Na 0.186 0.695 0.964
Ge 0.049 0.927 0.053
Ge 0.111 0.525 0.418
O 0.028 0.949 0.413
O 0.041 0.195 0.478
O 0.074 0.516 0.058
O 0.167 0.658 0.488
O 0.245 0.416 0.487